Arrangement P

## Li3V3P8O29 (GGA+U)

Data for a relaxed Li3V3P8O29 crystal.

Computed properties:
The total magnetic moment is 0.000 μB/atom. The volume comes out at 1176.3 Å³/cell. Its crystal system is triclinic.

Cell: 9.7560 9.7677 14.2214 Å, 90.04 90.05 119.78°
Space group P1 (No. 1)
One atom of each set of equivalent atoms:
Li 0.0000 0.0000 0.0000 [1 per cell]
Li 0.0055 0.5487 0.4893 [1 per cell]
Li 0.2276 0.3169 0.8825 [1 per cell]
Li 0.5939 0.1332 0.9967 [1 per cell]
Li 0.8307 0.4471 0.8812 [1 per cell]
Li 0.8992 0.1723 0.4311 [1 per cell]
V 0.3476 0.2242 0.6764 [1 per cell]
V 0.3493 0.6623 0.1867 [1 per cell]
V 0.4774 0.7915 0.6877 [1 per cell]
V 0.4782 0.2275 0.1983 [1 per cell]
V 0.9085 0.7889 0.1921 [1 per cell]
V 0.9135 0.6651 0.6862 [1 per cell]
P 0.0024 0.5390 0.2763 [1 per cell]
P 0.0058 0.0006 0.7798 [1 per cell]
P 0.1315 0.1409 0.2798 [1 per cell]
P 0.1418 0.5407 0.7810 [1 per cell]
P 0.2198 0.4537 0.5960 [1 per cell]
P 0.2332 0.3149 0.0984 [1 per cell]
P 0.2447 0.8874 0.5682 [1 per cell]
P 0.2474 0.8983 0.0708 [1 per cell]
P 0.5766 0.5541 0.8032 [1 per cell]
P 0.5782 0.5609 0.3081 [1 per cell]
P 0.5932 0.1381 0.7772 [1 per cell]
P 0.6077 0.9995 0.2815 [1 per cell]
P 0.6854 0.9128 0.0962 [1 per cell]
P 0.6944 0.3122 0.5951 [1 per cell]
P 0.8203 0.4526 0.0973 [1 per cell]
P 0.8262 0.9200 0.5990 [1 per cell]
O 0.0038 0.6986 0.2615 [1 per cell]
O 0.0135 0.8474 0.7563 [1 per cell]
O 0.0935 0.8932 0.1093 [1 per cell]
O 0.0960 0.7349 0.6107 [1 per cell]
O 0.1081 0.2167 0.3633 [1 per cell]
O 0.1154 0.2204 0.1834 [1 per cell]
O 0.1178 0.4328 0.6894 [1 per cell]
O 0.1234 0.4424 0.5127 [1 per cell]
O 0.1476 0.4563 0.8661 [1 per cell]
O 0.1596 0.2295 0.0083 [1 per cell]
O 0.1733 0.1469 0.7712 [1 per cell]
O 0.1737 0.5718 0.2667 [1 per cell]
O 0.2378 0.8783 0.4642 [1 per cell]
O 0.2409 0.0369 0.6095 [1 per cell]
O 0.2530 0.8999 0.9663 [1 per cell]
O 0.2553 0.7547 0.1174 [1 per cell]
O 0.2585 0.3166 0.6029 [1 per cell]
O 0.2590 0.4840 0.1035 [1 per cell]
O 0.2934 0.1447 0.2707 [1 per cell]
O 0.2949 0.6997 0.7624 [1 per cell]
O 0.3772 0.6110 0.6086 [1 per cell]
O 0.3907 0.3200 0.1194 [1 per cell]
O 0.3921 0.8927 0.6150 [1 per cell]
O 0.3938 0.0476 0.1142 [1 per cell]
O 0.4304 0.4047 0.7603 [1 per cell]
O 0.4324 0.5585 0.2615 [1 per cell]
O 0.4346 0.1315 0.7549 [1 per cell]
O 0.4521 0.8406 0.2688 [1 per cell]
O 0.5321 0.7529 0.1133 [1 per cell]
O 0.5327 0.3106 0.6069 [1 per cell]
O 0.5649 0.1339 0.2693 [1 per cell]
O 0.5693 0.9700 0.7707 [1 per cell]
O 0.5725 0.6991 0.7588 [1 per cell]
O 0.5788 0.5505 0.9075 [1 per cell]
O 0.5829 0.4124 0.2649 [1 per cell]
O 0.5839 0.5609 0.4119 [1 per cell]
O 0.6521 0.3064 0.1034 [1 per cell]
O 0.6518 0.8791 0.6078 [1 per cell]
O 0.6640 0.2220 0.8679 [1 per cell]
O 0.6792 0.9985 0.0117 [1 per cell]
O 0.7032 0.0230 0.3665 [1 per cell]
O 0.7095 0.2318 0.5116 [1 per cell]
O 0.7111 0.0175 0.1892 [1 per cell]
O 0.7117 0.2364 0.6930 [1 per cell]
O 0.7276 0.7094 0.2629 [1 per cell]
O 0.7307 0.5588 0.7610 [1 per cell]
O 0.8148 0.6060 0.1181 [1 per cell]
O 0.8288 0.7610 0.6124 [1 per cell]
O 0.8292 0.8849 0.0976 [1 per cell]
O 0.8312 0.4877 0.6016 [1 per cell]
O 0.8992 0.4595 0.0068 [1 per cell]
O 0.9070 0.0173 0.6947 [1 per cell]
O 0.9077 0.0118 0.5148 [1 per cell]
O 0.9120 0.4319 0.1865 [1 per cell]
O 0.9273 0.4613 0.3663 [1 per cell]
O 0.9313 0.9883 0.8724 [1 per cell]
O 0.9965 0.5669 0.7779 [1 per cell]
O 0.9991 0.9657 0.2679 [1 per cell]

Arrangement Q

## Li3V3P8O29 (GGA+U)

Data for a relaxed Li3V3P8O29 crystal.

Computed properties:
The total magnetic moment is 0.000 μB/atom. The volume comes out at 2354.3 Å³/cell. Its crystal system is monoclinic.

Cell: 16.8621 9.7552 14.3123 Å, 90.00 90.25 90.00°
Space group Cc (No. 9)
One atom of each set of equivalent atoms:
Li 0.0000 0.0124 0.0000 [4 per cell]
Li 0.0750 0.2805 0.5550 [4 per cell]
Li 0.1445 0.2094 0.0555 [4 per cell]
V 0.0273 0.4354 0.7488 [4 per cell]
V 0.2493 0.2189 0.2484 [4 per cell]
V 0.3098 0.2849 0.7433 [4 per cell]
P 0.0733 0.2692 0.3395 [4 per cell]
P 0.1413 0.1991 0.8405 [4 per cell]
P 0.1804 0.0671 0.6595 [4 per cell]
P 0.1925 0.4996 0.1282 [4 per cell]
P 0.3612 0.0041 0.8622 [4 per cell]
P 0.3772 0.4338 0.3363 [4 per cell]
P 0.4185 0.3058 0.1533 [4 per cell]
P 0.4850 0.2369 0.6595 [4 per cell]
O 0.0222 0.2033 0.2565 [4 per cell]
O 0.0302 0.2042 0.0797 [4 per cell]
O 0.0405 0.2276 0.4313 [4 per cell]
O 0.0705 0.3001 0.8243 [4 per cell]
O 0.0733 0.4271 0.3224 [4 per cell]
O 0.1189 0.4220 0.6704 [4 per cell]
O 0.1279 0.1092 0.5807 [4 per cell]
O 0.1337 0.0884 0.7578 [4 per cell]
O 0.1351 0.1298 0.9326 [4 per cell]
O 0.1594 0.2169 0.3242 [4 per cell]
O 0.1889 0.4973 0.5243 [4 per cell]
O 0.1923 0.3499 0.1688 [4 per cell]
O 0.1999 0.0889 0.1576 [4 per cell]
O 0.2194 0.2781 0.8231 [4 per cell]
O 0.2585 0.1504 0.6691 [4 per cell]
O 0.2666 0.4272 0.6734 [4 per cell]
O 0.2884 0.0740 0.3152 [4 per cell]
O 0.2983 0.3493 0.3235 [4 per cell]
O 0.3372 0.2320 0.1673 [4 per cell]
O 0.3555 0.4127 0.8252 [4 per cell]
O 0.3600 0.1487 0.8160 [4 per cell]
O 0.3606 0.0014 0.9654 [4 per cell]
O 0.3975 0.2853 0.6615 [4 per cell]
O 0.4235 0.4031 0.4212 [4 per cell]
O 0.4280 0.3917 0.0692 [4 per cell]
O 0.4296 0.3977 0.2459 [4 per cell]
O 0.4355 0.0702 0.3173 [4 per cell]
O 0.4856 0.1953 0.1595 [4 per cell]
O 0.4876 0.0788 0.6695 [4 per cell]

Most stable one: arrangement Q, least stable one: arrangement P.

Arrangement P

## Li3V3P8O29 (GGA+U)

Data for a relaxed Li3V3P8O29 crystal.

Computed properties:
The total magnetic moment is 0.000 μB/atom. The volume comes out at 1178.4 Å³/cell. Its crystal system is triclinic.

Cell: 9.7395 9.7773 14.2636 Å, 89.52 89.61 60.18°
Space group P1 (No. 1)
One atom of each set of equivalent atoms:
Li 0.0000 0.0000 0.0000 [1 per cell]
Li 0.0804 0.2336 0.8803 [1 per cell]
Li 0.2160 0.2392 0.3840 [1 per cell]
Li 0.3216 0.8595 0.4482 [1 per cell]
Li 0.5316 0.6014 0.9967 [1 per cell]
Li 0.6176 0.8319 0.8785 [1 per cell]
V 0.3056 0.4842 0.6923 [1 per cell]
V 0.3097 0.3511 0.1871 [1 per cell]
V 0.7422 0.4852 0.1996 [1 per cell]
V 0.7428 0.9206 0.6836 [1 per cell]
V 0.8692 0.3500 0.6823 [1 per cell]
V 0.8718 0.9120 0.1989 [1 per cell]
P 0.9997 0.1385 0.2793 [1 per cell]
P 0.0737 0.2394 0.0985 [1 per cell]
P 0.0906 0.8326 0.6020 [1 per cell]
P 0.2192 0.6913 0.1011 [1 per cell]
P 0.2230 0.2307 0.5970 [1 per cell]
P 0.3869 0.6083 0.2844 [1 per cell]
P 0.3943 0.1416 0.7782 [1 per cell]
P 0.5246 0.0009 0.2797 [1 per cell]
P 0.5372 0.5963 0.7814 [1 per cell]
P 0.6119 0.6967 0.6000 [1 per cell]
P 0.6260 0.8270 0.0982 [1 per cell]
P 0.6348 0.2538 0.5707 [1 per cell]
P 0.6482 0.2499 0.0750 [1 per cell]
P 0.9687 0.5819 0.8069 [1 per cell]
P 0.9783 0.5780 0.3116 [1 per cell]
P 0.9882 0.0068 0.7833 [1 per cell]
O 0.0487 0.8346 0.1031 [1 per cell]
O 0.0501 0.2615 0.6106 [1 per cell]
O 0.0545 0.9338 0.8757 [1 per cell]
O 0.0641 0.1679 0.0081 [1 per cell]
O 0.0927 0.1184 0.1812 [1 per cell]
O 0.1005 0.1299 0.3588 [1 per cell]
O 0.1059 0.9104 0.6987 [1 per cell]
O 0.1119 0.9109 0.5190 [1 per cell]
O 0.1216 0.5751 0.7628 [1 per cell]
O 0.1226 0.4274 0.2693 [1 per cell]
O 0.2114 0.5368 0.1184 [1 per cell]
O 0.2202 0.2613 0.1077 [1 per cell]
O 0.2212 0.3876 0.6136 [1 per cell]
O 0.2223 0.6573 0.6116 [1 per cell]
O 0.2886 0.1547 0.5056 [1 per cell]
O 0.2993 0.1437 0.8606 [1 per cell]
O 0.2999 0.7145 0.1934 [1 per cell]
O 0.3124 0.6834 0.0167 [1 per cell]
O 0.3159 0.6989 0.3702 [1 per cell]
O 0.3197 0.1161 0.6824 [1 per cell]
O 0.3844 0.4523 0.2695 [1 per cell]
O 0.3892 0.1768 0.2751 [1 per cell]
O 0.3920 0.5730 0.7764 [1 per cell]
O 0.3997 0.2962 0.7639 [1 per cell]
O 0.4923 0.3988 0.6176 [1 per cell]
O 0.4936 0.2572 0.1207 [1 per cell]
O 0.5071 0.9280 0.1816 [1 per cell]
O 0.5104 0.9177 0.3625 [1 per cell]
O 0.5126 0.7176 0.5180 [1 per cell]
O 0.5159 0.7143 0.6966 [1 per cell]
O 0.5493 0.6691 0.8709 [1 per cell]
O 0.5633 0.5681 0.2711 [1 per cell]
O 0.5630 0.8983 0.0051 [1 per cell]
O 0.5652 0.9980 0.7781 [1 per cell]
O 0.6355 0.1035 0.6155 [1 per cell]
O 0.6374 0.2505 0.4672 [1 per cell]
O 0.6440 0.2527 0.9710 [1 per cell]
O 0.6456 0.6593 0.1076 [1 per cell]
O 0.6478 0.3979 0.1163 [1 per cell]
O 0.6564 0.8285 0.6095 [1 per cell]
O 0.6873 0.9992 0.2685 [1 per cell]
O 0.6881 0.4378 0.7605 [1 per cell]
O 0.7686 0.5346 0.6091 [1 per cell]
O 0.7851 0.8198 0.1230 [1 per cell]
O 0.7881 0.2474 0.6145 [1 per cell]
O 0.7922 0.0972 0.1168 [1 per cell]
O 0.8236 0.7357 0.7669 [1 per cell]
O 0.8248 0.5861 0.2667 [1 per cell]
O 0.8299 0.0121 0.7600 [1 per cell]
O 0.8407 0.2983 0.2702 [1 per cell]
O 0.9238 0.3974 0.1206 [1 per cell]
O 0.9271 0.8370 0.6115 [1 per cell]
O 0.9618 0.0022 0.2755 [1 per cell]
O 0.9652 0.1761 0.7754 [1 per cell]
O 0.9648 0.4362 0.7632 [1 per cell]
O 0.9710 0.5737 0.9111 [1 per cell]
O 0.9750 0.5759 0.4153 [1 per cell]
O 0.9795 0.7271 0.2672 [1 per cell]

Arrangement Q

## Li3V3P8O29 (GGA+U)

Data for a relaxed Li3V3P8O29 crystal.

Computed properties:
The total magnetic moment is 0.000 μB/atom. The volume comes out at 2374.9 Å³/cell. Its crystal system is monoclinic.

Cell: 16.9292 9.8065 14.3067 Å, 90.00 90.74 90.00°
Space group Cc (No. 9)
One atom of each set of equivalent atoms:
Li 0.0000 0.1947 0.0000 [4 per cell]
Li 0.0644 0.2722 0.5002 [4 per cell]
Li 0.2241 0.1946 0.6190 [4 per cell]
V 0.1124 0.4329 0.3038 [4 per cell]
V 0.3281 0.2120 0.8164 [4 per cell]
V 0.3919 0.2845 0.3027 [4 per cell]
P 0.0660 0.2748 0.7169 [4 per cell]
P 0.1536 0.2738 0.8978 [4 per cell]
P 0.2267 0.2037 0.3999 [4 per cell]
P 0.2657 0.0705 0.2183 [4 per cell]
P 0.2767 0.4933 0.6887 [4 per cell]
P 0.4478 0.0041 0.4274 [4 per cell]
P 0.4535 0.4305 0.8953 [4 per cell]
P 0.4920 0.2962 0.7159 [4 per cell]
O 0.0007 0.0939 0.2990 [4 per cell]
O 0.0210 0.4266 0.3875 [4 per cell]
O 0.0613 0.4311 0.7349 [4 per cell]
O 0.0644 0.3002 0.2306 [4 per cell]
O 0.1075 0.2324 0.9796 [4 per cell]
O 0.1070 0.2439 0.6274 [4 per cell]
O 0.1149 0.2099 0.8022 [4 per cell]
O 0.1525 0.2979 0.3918 [4 per cell]
O 0.1569 0.4300 0.8805 [4 per cell]
O 0.2021 0.4314 0.2339 [4 per cell]
O 0.2173 0.0992 0.3142 [4 per cell]
O 0.2259 0.1170 0.1328 [4 per cell]
O 0.2304 0.1356 0.4919 [4 per cell]
O 0.2393 0.2169 0.8930 [4 per cell]
O 0.2729 0.4968 0.5855 [4 per cell]
O 0.2767 0.3451 0.7293 [4 per cell]
O 0.2794 0.0869 0.7247 [4 per cell]
O 0.3021 0.2876 0.3766 [4 per cell]
O 0.3480 0.1438 0.2369 [4 per cell]
O 0.3504 0.4280 0.2328 [4 per cell]
O 0.3718 0.0722 0.8835 [4 per cell]
O 0.3719 0.3571 0.8817 [4 per cell]
O 0.4167 0.2132 0.7394 [4 per cell]
O 0.4402 0.4132 0.3958 [4 per cell]
O 0.4455 0.1527 0.3861 [4 per cell]
O 0.4470 0.0005 0.0312 [4 per cell]
O 0.4820 0.2853 0.2249 [4 per cell]
O 0.4890 0.3635 0.6239 [4 per cell]
O 0.4983 0.3787 0.9773 [4 per cell]

Most stable one: arrangement P, least stable one: arrangement Q.